Record 1
An optimized crystal structure of CeSi3N5. Source: Materials Project, functional GGA-PBE.

a = 4.816 Å, b = 7.881 Å, c = 11.315 Å
α = 90.00°, β = 90.00°, γ = 90.00°
Fractional coordinates of all 36 atoms:
Ce: 0.004 0.060 0.170
Ce: 0.496 0.940 0.670
Ce: 0.504 0.440 0.830
Ce: 0.996 0.560 0.330
Si: 0.014 0.162 0.839
Si: 0.017 0.293 0.583
Si: 0.023 0.467 0.041
Si: 0.477 0.533 0.541
Si: 0.483 0.707 0.083
Si: 0.486 0.838 0.339
Si: 0.514 0.338 0.161
Si: 0.517 0.207 0.417
Si: 0.523 0.033 0.959
Si: 0.977 0.967 0.459
Si: 0.983 0.793 0.917
Si: 0.986 0.662 0.661
N: 0.047 0.343 0.920
N: 0.166 0.206 0.705
N: 0.170 0.390 0.168
N: 0.185 0.982 0.907
N: 0.204 0.650 0.990
N: 0.296 0.350 0.490
N: 0.315 0.018 0.407
N: 0.330 0.610 0.668
N: 0.334 0.794 0.205
N: 0.453 0.657 0.420
N: 0.547 0.157 0.080
N: 0.666 0.294 0.295
N: 0.670 0.110 0.832
N: 0.685 0.518 0.093
N: 0.704 0.850 0.010
N: 0.796 0.150 0.510
N: 0.815 0.482 0.593
N: 0.830 0.890 0.332
N: 0.834 0.706 0.795
N: 0.953 0.843 0.580

**Formation energy**: -1.411 eV/atom
**Volume**: 429.5 Å³ per cell

Record 2
An optimized crystal structure of Ce3Si6N11. Source: Materials Project, functional GGA-PBE.

a = 10.157 Å, b = 10.157 Å, c = 4.885 Å
α = 90.00°, β = 90.00°, γ = 90.00°
Fractional coordinates of all 40 atoms:
Ce: 0.000 0.000 0.000
Ce: 0.181 0.319 0.990
Ce: 0.319 0.819 0.990
Ce: 0.500 0.500 0.000
Ce: 0.681 0.181 0.990
Ce: 0.819 0.681 0.990
Si: 0.079 0.791 0.461
Si: 0.117 0.617 0.950
Si: 0.209 0.079 0.461
Si: 0.291 0.579 0.461
Si: 0.383 0.117 0.950
Si: 0.421 0.291 0.461
Si: 0.579 0.709 0.461
Si: 0.617 0.883 0.950
Si: 0.709 0.421 0.461
Si: 0.791 0.921 0.461
Si: 0.883 0.383 0.950
Si: 0.921 0.209 0.461
N: 0.000 0.500 0.922
N: 0.075 0.770 0.814
N: 0.080 0.179 0.348
N: 0.153 0.653 0.297
N: 0.179 0.920 0.348
N: 0.230 0.075 0.814
N: 0.270 0.575 0.814
N: 0.321 0.420 0.348
N: 0.347 0.153 0.297
N: 0.420 0.679 0.348
N: 0.425 0.270 0.814
N: 0.500 0.000 0.922
N: 0.575 0.730 0.814
N: 0.580 0.321 0.348
N: 0.653 0.847 0.297
N: 0.679 0.580 0.348
N: 0.730 0.425 0.814
N: 0.770 0.925 0.814
N: 0.821 0.080 0.348
N: 0.847 0.347 0.297
N: 0.920 0.821 0.348
N: 0.925 0.230 0.814

**Formation energy**: -1.449 eV/atom
**Volume**: 504.0 Å³ per cell

Record 3
An optimized crystal structure of SrCeN2. Source: Materials Project, functional GGA-PBE.

a = 5.213 Å, b = 5.219 Å, c = 6.342 Å
α = 65.76°, β = 65.84°, γ = 90.00°
Fractional coordinates of all 8 atoms:
Sr: 0.000 0.000 0.000
Sr: 0.252 0.751 0.500
Ce: 0.505 0.497 0.000
Ce: 0.747 0.250 0.500
N: 0.287 0.281 0.440
N: 0.529 0.043 0.940
N: 0.721 0.726 0.561
N: 0.959 0.471 0.062

**Formation energy**: -1.332 eV/atom
**Volume**: 140.6 Å³ per cell

Record 4
An optimized crystal structure of SrCeN2. Source: Materials Project, functional GGA-PBE.

a = 6.364 Å, b = 6.364 Å, c = 6.364 Å
α = 33.38°, β = 33.38°, γ = 33.38°
Fractional coordinates of all 4 atoms:
Sr: 0.000 0.000 0.000
Ce: 0.500 0.500 0.500
N: 0.235 0.235 0.235
N: 0.765 0.765 0.765

**Formation energy**: -1.372 eV/atom
**Volume**: 69.5 Å³ per cell

Record 5
An optimized crystal structure of SrCeN2. Source: Materials Project, functional GGA-PBE.

a = 3.708 Å, b = 3.708 Å, c = 5.004 Å
α = 90.00°, β = 90.00°, γ = 90.00°
Fractional coordinates of all 4 atoms:
Sr: 0.000 0.000 0.000
Ce: 0.500 0.500 0.500
N: 0.000 0.000 0.500
N: 0.500 0.500 0.000

**Formation energy**: -1.138 eV/atom
**Volume**: 68.8 Å³ per cell

Record 6
An optimized crystal structure of SrCeN2. Source: Materials Project, functional GGA-PBE.

a = 6.344 Å, b = 6.344 Å, c = 5.213 Å
α = 114.15°, β = 114.15°, γ = 48.58°
Fractional coordinates of all 8 atoms:
Sr: 0.125 0.125 0.374
Sr: 0.875 0.875 0.626
Ce: 0.374 0.375 0.122
Ce: 0.625 0.626 0.878
N: 0.162 0.149 0.905
N: 0.409 0.404 0.667
N: 0.596 0.591 0.333
N: 0.851 0.838 0.095

**Formation energy**: -1.332 eV/atom
**Volume**: 140.6 Å³ per cell

Record 7
An optimized crystal structure of SrCeN2. Source: Materials Project, functional GGA-PBE.

a = 6.341 Å, b = 6.341 Å, c = 6.341 Å
α = 131.33°, β = 131.33°, γ = 71.29°
Fractional coordinates of all 8 atoms:
Sr: 0.375 0.625 0.750
Sr: 0.625 0.375 0.250
Ce: 0.125 0.875 0.250
Ce: 0.875 0.125 0.750
N: 0.096 0.346 0.750
N: 0.346 0.096 0.250
N: 0.654 0.904 0.750
N: 0.904 0.654 0.250

**Formation energy**: -1.332 eV/atom
**Volume**: 140.7 Å³ per cell

Record 8
An optimized crystal structure of Ce4Te3N2. Source: Materials Project, functional GGA-PBE.

a = 7.296 Å, b = 11.554 Å, c = 11.448 Å
α = 90.00°, β = 90.00°, γ = 90.00°
Fractional coordinates of all 36 atoms:
Ce: 0.087 0.250 0.160
Ce: 0.150 0.051 0.891
Ce: 0.150 0.449 0.891
Ce: 0.220 0.250 0.525
Ce: 0.280 0.750 0.025
Ce: 0.350 0.551 0.391
Ce: 0.350 0.949 0.391
Ce: 0.413 0.750 0.660
Ce: 0.587 0.250 0.340
Ce: 0.650 0.051 0.609
Ce: 0.650 0.449 0.609
Ce: 0.720 0.250 0.975
Ce: 0.780 0.750 0.475
Ce: 0.850 0.551 0.109
Ce: 0.850 0.949 0.109
Ce: 0.913 0.750 0.840
Te: 0.067 0.576 0.636
Te: 0.067 0.924 0.636
Te: 0.080 0.750 0.269
Te: 0.420 0.250 0.769
Te: 0.433 0.076 0.136
Te: 0.433 0.424 0.136
Te: 0.567 0.576 0.864
Te: 0.567 0.924 0.864
Te: 0.580 0.750 0.231
Te: 0.920 0.250 0.731
Te: 0.933 0.076 0.364
Te: 0.933 0.424 0.364
N: 0.055 0.620 0.968
N: 0.055 0.880 0.968
N: 0.445 0.120 0.468
N: 0.445 0.380 0.468
N: 0.555 0.620 0.532
N: 0.555 0.880 0.532
N: 0.945 0.120 0.032
N: 0.945 0.380 0.032

**Formation energy**: -1.586 eV/atom
**Volume**: 965.0 Å³ per cell

Question: Which of these has the lowest formation energy?
Answer: Ce4Te3N2

Question: Look up the volume of the sixth one.
Answer: 140.6 Å³ per cell

Question: What is the formula in the third record?
Answer: SrCeN2

Question: Number 5 is which compound?
Answer: SrCeN2